1.
A relaxed structure of VNCl3. Source: the Materials Project, functional PBE.

Values from the calculation:
Final energy, eV per atom: -4.5555
Total moment, μB/f.u.: 5.00
ΔE_f, kJ per mole of atoms: -31.9

Cell and atoms, written as CIF:
```
data_VNCl3
_cell_length_a 7.3013
_cell_length_b 7.3013
_cell_length_c 5.9204
_cell_angle_alpha 90.00
_cell_angle_beta 90.00
_cell_angle_gamma 120.00
_space_group_name_H-M_alt 'P 63/m m c'
_space_group_IT_number 194
_space_group_name_Hall '-P 6c 2c'
loop_
_atom_site_label
_atom_site_fract_x
_atom_site_fract_y
_atom_site_fract_z
V1 0.0000 0.0000 0.0000
N1 0.3333 0.6667 0.2500
Cl1 0.1473 0.2946 0.7500
```

2.
A relaxed structure of WNCl6. Source: the Materials Project, functional PBE.

Values from the calculation:
Final energy, eV per atom: -4.1474
Total moment, μB/f.u.: 3.00
ΔE_f, kJ per mole of atoms: -54.0

Cell and atoms, written as CIF:
```
data_WNCl6
_cell_length_a 12.3680
_cell_length_b 6.5584
_cell_length_c 12.6493
_cell_angle_alpha 90.00
_cell_angle_beta 101.80
_cell_angle_gamma 90.00
_space_group_name_H-M_alt 'C 1 2/c 1'
_space_group_IT_number 15
loop_
_space_group_symop_operation_xyz
'x,y,z'
'-x,-y,-z'
'-x,y,-z+1/2'
'x,-y,z+1/2'
'x+1/2,y+1/2,z'
'-x+1/2,-y+1/2,-z'
'-x+1/2,y+1/2,-z+1/2'
'x+1/2,-y+1/2,z+1/2'
loop_
_atom_site_label
_atom_site_fract_x
_atom_site_fract_y
_atom_site_fract_z
W1 0.2500 0.2500 0.0000
N1 0.0000 0.1191 0.2500
Cl1 0.0871 0.3797 0.9006
Cl2 0.1575 0.0369 0.5388
Cl3 0.2153 0.4065 0.1531
```

3.
A relaxed structure of W2NCl9. Source: the Materials Project, functional PBE.

Values from the calculation:
Final energy, eV per atom: -5.0643
ΔE_f, kJ per mole of atoms: -123.9

Cell and atoms, written as CIF:
```
data_W2NCl9
_cell_length_a 9.1284
_cell_length_b 17.3040
_cell_length_c 12.9362
_cell_angle_alpha 90.00
_cell_angle_beta 134.83
_cell_angle_gamma 90.00
_space_group_name_H-M_alt 'P 1 21/c 1'
_space_group_IT_number 14
loop_
_space_group_symop_operation_xyz
'x,y,z'
'-x,-y,-z'
'-x,y+1/2,-z+1/2'
'x,-y+1/2,z+1/2'
loop_
_atom_site_label
_atom_site_fract_x
_atom_site_fract_y
_atom_site_fract_z
W1 0.1819 0.0929 0.0414
W2 0.1881 0.1913 0.5391
N1 0.1826 0.1944 0.0414
Cl1 0.0032 0.0749 0.8003
Cl2 0.0064 0.1984 0.2954
Cl3 0.1192 0.6913 0.0232
Cl4 0.1408 0.5755 0.5308
Cl5 0.1987 0.0581 0.5357
Cl6 0.3418 0.0743 0.2781
Cl7 0.3669 0.1920 0.7826
Cl8 0.4870 0.0692 0.1095
Cl9 0.4952 0.2027 0.6026
```

4.
A relaxed structure of Y2NCl3. Source: the Materials Project, functional PBE.

Values from the calculation:
Final energy, eV per atom: -6.5802
ΔE_f, kJ per mole of atoms: -233.3

Cell and atoms, written as CIF:
```
data_Y2NCl3
_cell_length_a 16.4777
_cell_length_b 3.8494
_cell_length_c 10.7864
_cell_angle_alpha 90.00
_cell_angle_beta 121.79
_cell_angle_gamma 90.00
_space_group_name_H-M_alt 'C 1 2/m 1'
_space_group_IT_number 12
loop_
_space_group_symop_operation_xyz
'x,y,z'
'-x,-y,-z'
'-x,y,-z'
'x,-y,z'
'x+1/2,y+1/2,z'
'-x+1/2,-y+1/2,-z'
'-x+1/2,y+1/2,-z'
'x+1/2,-y+1/2,z'
loop_
_atom_site_label
_atom_site_fract_x
_atom_site_fract_y
_atom_site_fract_z
Y1 0.0838 0.0000 0.4557
Y2 0.1368 0.5000 0.7924
N1 0.0762 0.0000 0.6574
Cl1 0.0463 0.5000 0.2495
Cl2 0.1669 0.0000 0.0133
Cl3 0.2199 0.5000 0.6137
```

5.
A relaxed structure of ZnN2Cl4. Source: the Materials Project, functional PBE.

Values from the calculation:
Final energy, eV per atom: -3.0475
Total moment, μB/f.u.: 4.01
ΔE_f, kJ per mole of atoms: 21.2

Cell and atoms, written as CIF:
```
data_ZnN2Cl4
_cell_length_a 30.1182
_cell_length_b 12.5687
_cell_length_c 7.6830
_cell_angle_alpha 90.00
_cell_angle_beta 90.00
_cell_angle_gamma 90.00
_space_group_name_H-M_alt 'P n a 21'
_space_group_IT_number 33
loop_
_space_group_symop_operation_xyz
'x,y,z'
'-x,-y,z+1/2'
'-x+1/2,y+1/2,z+1/2'
'x+1/2,-y+1/2,z'
loop_
_atom_site_label
_atom_site_fract_x
_atom_site_fract_y
_atom_site_fract_z
Zn1 0.0589 0.0336 0.0000
Zn2 0.1212 0.5276 0.4366
Zn3 0.2347 0.3483 0.0323
N1 0.0024 0.6309 0.2036
N2 0.0258 0.8385 0.6727
N3 0.1185 0.3945 0.0811
N4 0.1615 0.1022 0.5304
N5 0.1714 0.9074 0.0385
N6 0.2044 0.6161 0.6644
Cl1 0.0006 0.4329 0.8848
Cl2 0.0264 0.2147 0.2081
Cl3 0.0591 0.1051 0.7542
Cl4 0.0658 0.7573 0.7506
Cl5 0.0681 0.9227 0.2002
Cl6 0.1099 0.4193 0.6378
Cl7 0.1230 0.6433 0.2415
Cl8 0.1592 0.9741 0.5211
Cl9 0.1812 0.0337 0.0244
Cl10 0.2088 0.6145 0.8716
Cl11 0.2220 0.4037 0.2831
Cl12 0.2434 0.2879 0.7826
```

6.
A relaxed structure of ZnN3Cl5. Source: the Materials Project, functional PBE.

Values from the calculation:
Final energy, eV per atom: -3.1186
Total moment, μB/f.u.: 2.06
ΔE_f, kJ per mole of atoms: 46.9

Cell and atoms, written as CIF:
```
data_ZnN3Cl5
_cell_length_a 9.4538
_cell_length_b 7.7323
_cell_length_c 13.6922
_cell_angle_alpha 90.00
_cell_angle_beta 90.00
_cell_angle_gamma 90.00
_space_group_name_H-M_alt 'P n m a'
_space_group_IT_number 62
loop_
_space_group_symop_operation_xyz
'x,y,z'
'-x,-y,-z'
'-x+1/2,-y,z+1/2'
'x+1/2,y,-z+1/2'
'x+1/2,-y+1/2,-z+1/2'
'-x+1/2,y+1/2,z+1/2'
'-x,y+1/2,-z'
'x,-y+1/2,z'
loop_
_atom_site_label
_atom_site_fract_x
_atom_site_fract_y
_atom_site_fract_z
Zn1 0.1996 0.2500 0.1788
N1 0.0441 0.7500 0.1211
N2 0.0875 0.0689 0.3871
Cl1 0.0816 0.2500 0.8004
Cl2 0.0849 0.2500 0.4261
Cl3 0.1213 0.7500 0.7825
Cl4 0.1620 0.0089 0.0920
```

7.
A relaxed structure of ZnN2Cl4. Source: the Materials Project, functional PBE.

Values from the calculation:
Final energy, eV per atom: -3.0361
Total moment, μB/f.u.: 4.00
ΔE_f, kJ per mole of atoms: 22.3

Cell and atoms, written as CIF:
```
data_ZnN2Cl4
_cell_length_a 12.8144
_cell_length_b 8.8230
_cell_length_c 37.1992
_cell_angle_alpha 90.00
_cell_angle_beta 91.25
_cell_angle_gamma 90.00
_space_group_name_H-M_alt 'P 1 c 1'
_space_group_IT_number 7
loop_
_space_group_symop_operation_xyz
'x,y,z'
'x,-y,z+1/2'
loop_
_atom_site_label
_atom_site_fract_x
_atom_site_fract_y
_atom_site_fract_z
Zn1 0.0000 0.0132 0.0000
Zn2 0.2260 0.0045 0.8870
Zn3 0.3807 0.0128 0.0871
Zn4 0.3835 0.4401 0.4686
Zn5 0.3944 0.4576 0.7100
Zn6 0.7115 0.4836 0.3432
Zn7 0.7969 0.3749 0.5891
Zn8 0.9201 0.1079 0.7681
N1 0.2360 0.4291 0.0711
N2 0.2420 0.0779 0.6905
N3 0.2576 0.0093 0.4455
N4 0.2736 0.4870 0.8094
N5 0.4456 0.4689 0.1574
N6 0.4553 0.0314 0.3122
N7 0.4809 0.4217 0.9334
N8 0.4957 0.0389 0.0454
N9 0.6723 0.4515 0.2700
N10 0.7421 0.9999 0.4334
N11 0.7685 0.0027 0.1652
N12 0.7760 0.4377 0.5322
N13 0.8367 0.0402 0.0718
N14 0.9606 0.4847 0.9164
N15 0.9633 0.0720 0.3057
N16 0.9727 0.4942 0.1893
Cl1 0.0079 0.2332 0.2956
Cl2 0.0375 0.2143 0.4927
Cl3 0.0675 0.2021 0.7566
Cl4 0.1789 0.2228 0.3792
Cl5 0.2003 0.3146 0.1056
Cl6 0.2040 0.1749 0.6558
Cl7 0.2353 0.2413 0.8809
Cl8 0.2590 0.4103 0.9780
Cl9 0.2610 0.0800 0.5540
Cl10 0.2820 0.3730 0.2183
Cl11 0.3354 0.0025 0.7942
Cl12 0.3669 0.4673 0.0740
Cl13 0.3956 0.4981 0.8202
Cl14 0.4522 0.0526 0.3582
Cl15 0.4685 0.0853 0.1325
Cl16 0.4765 0.2424 0.4752
Cl17 0.4941 0.2716 0.7187
Cl18 0.5506 0.2780 0.9427
Cl19 0.6203 0.3154 0.2476
Cl20 0.6380 0.3663 0.6024
Cl21 0.6758 0.2885 0.8522
Cl22 0.7351 0.2489 0.3434
Cl23 0.7523 0.0534 0.4778
Cl24 0.7567 0.0910 0.7614
Cl25 0.7584 0.1766 0.0800
Cl26 0.8384 0.4748 0.4305
Cl27 0.8485 0.4803 0.6920
Cl28 0.8603 0.0067 0.9143
Cl29 0.8930 0.0158 0.1718
Cl30 0.9601 0.3789 0.5934
Cl31 0.9608 0.4513 0.8711
Cl32 0.9726 0.2452 0.0048
```

8.
A relaxed structure of ZnN2Cl4. Source: the Materials Project, functional PBE.

Values from the calculation:
Final energy, eV per atom: -3.1384
Total moment, μB/f.u.: 0.00
ΔE_f, kJ per mole of atoms: 12.4

Cell and atoms, written as CIF:
```
data_ZnN2Cl4
_cell_length_a 8.4524
_cell_length_b 8.8001
_cell_length_c 13.8859
_cell_angle_alpha 90.00
_cell_angle_beta 90.00
_cell_angle_gamma 90.00
_space_group_name_H-M_alt 'P n m a'
_space_group_IT_number 62
loop_
_space_group_symop_operation_xyz
'x,y,z'
'-x,-y,-z'
'-x+1/2,-y,z+1/2'
'x+1/2,y,-z+1/2'
'x+1/2,-y+1/2,-z+1/2'
'-x+1/2,y+1/2,z+1/2'
'-x,y+1/2,-z'
'x,-y+1/2,z'
loop_
_atom_site_label
_atom_site_fract_x
_atom_site_fract_y
_atom_site_fract_z
Zn1 0.1184 0.2500 0.1235
N1 0.0462 0.7500 0.3645
N2 0.1341 0.7500 0.8984
Cl1 0.1826 0.0172 0.1286
Cl2 0.1854 0.2500 0.4264
Cl3 0.2327 0.7500 0.3891
```

9.
A relaxed structure of Zn2NCl. Source: the Materials Project, functional PBE.

Values from the calculation:
Final energy, eV per atom: -3.6446
Maximum piezoelectric response, C/m2: 4.14
ΔE_f, kJ per mole of atoms: -60.0

Cell and atoms, written as CIF:
```
data_Zn2NCl
_cell_length_a 6.1892
_cell_length_b 7.4425
_cell_length_c 5.9972
_cell_angle_alpha 90.00
_cell_angle_beta 90.00
_cell_angle_gamma 90.00
_space_group_name_H-M_alt 'P n a 21'
_space_group_IT_number 33
loop_
_space_group_symop_operation_xyz
'x,y,z'
'-x,-y,z+1/2'
'-x+1/2,y+1/2,z+1/2'
'x+1/2,-y+1/2,z'
loop_
_atom_site_label
_atom_site_fract_x
_atom_site_fract_y
_atom_site_fract_z
Zn1 0.0286 0.0516 0.0000
Zn2 0.1220 0.6754 0.1498
N1 0.0758 0.1270 0.7005
Cl1 0.0818 0.6217 0.7002
```

10.
A relaxed structure of Na2Cl. Source: the Materials Project, functional PBE.

Values from the calculation:
Final energy, eV per atom: -2.4691
Total moment, μB/f.u.: 0.02
ΔE_f, kJ per mole of atoms: -113.5

Cell and atoms, written as CIF:
```
data_Na2Cl
_cell_length_a 3.9259
_cell_length_b 7.0980
_cell_length_c 13.7552
_cell_angle_alpha 90.00
_cell_angle_beta 90.00
_cell_angle_gamma 90.00
_space_group_name_H-M_alt 'I m m a'
_space_group_IT_number 74
_space_group_name_Hall '-I 2b 2'
loop_
_atom_site_label
_atom_site_fract_x
_atom_site_fract_y
_atom_site_fract_z
Na1 0.0000 0.0130 0.1441
Cl1 0.0000 0.2500 0.6048
```

Question: ΔE_f of number 10 (Na2Cl)?
Answer: -113.5 kJ per mole of atoms

Question: Which of these has the lowest final energy?
Answer: Y2NCl3